(1)
La5CoGe3 | PBE | optimized geometry

Cell lengths 9.0595, 9.0595, 7.1546 Å; angles 90.00, 90.00, 120.00 degrees
Space group P6_3/mcm (No. 193)
One atom of each set of equivalent atoms:
1 La 0.0000 0.2383 0.2500 x6
2 La 0.3333 0.6667 0.0000 x4
3 Co 0.0000 0.0000 0.0000 x2
4 Ge 0.0000 0.4092 0.7500 x6

Properties
calculated volume: 28.25 A^3/atom
ΔH_f (0 K): -582 meV per atom
uncorrected energy: -101.8 eV for the cell shown

(2)
RbZrCdF7 | PBE | optimized geometry

Cell lengths 6.940, 11.320, 8.670 Å; angles 90.00, 90.00, 90.00 degrees
Space group Cmcm (No. 63)
One atom of each set of equivalent atoms:
1 Rb 0.000 0.000 0.000 x4
2 Zr 0.000 0.307 0.250 x4
3 Cd 0.000 0.309 0.750 x4
4 F 0.000 0.296 0.014 x8
5 F 0.000 0.490 0.250 x4
6 F 0.177 0.152 0.250 x8
7 F 0.205 0.142 0.750 x8

Properties
calculated volume: 17.03 A^3/atom
ΔH_f (0 K): -3426 meV per atom
uncorrected energy: -219.5 eV for the cell shown

- Which of these has the highest calculated volume?
  La5CoGe3

- What is the ΔH_f (0 K) in the first record?
  -582 meV per atom